1.
Mn2SnS4 | PBE | relaxed

Values from the calculation:
corrected total energy (MP2020 scheme) = -6.32 eV per atom
calculated volume = 146.4 Å³ per cell
DFT formation energy = -0.7689 eV/atom

Lattice parameters (Å, degrees): 3.6337 6.1906 6.7935 73.31 90.00 90.00
Closest atoms and distances in Å follow each position.
Atoms (fractional coordinates):
S 0.0000 0.7749 0.6987  3 Mn 2.45-2.46
S 0.5000 0.2581 0.7155  3 Mn 2.46-2.54
Mn 0.0000 0.5000 0.5000  6 S 2.46-2.54
S 0.5000 0.7419 0.2845  3 Mn 2.46-2.54
Sn 0.0000 0.0000 0.0000  6 S 2.79-2.80
Mn 0.5000 0.0000 0.5000  6 S 2.45-2.46
S 0.0000 0.2251 0.3013  3 Mn 2.45-2.46



2.
Ti5MnS10 | PBE | relaxed

Values from the calculation:
corrected total energy (MP2020 scheme) = -7.15 eV per atom
calculated volume = 306.0 Å³ per cell
DFT formation energy = -1.5204 eV/atom

Lattice parameters (Å, degrees): 3.4347 3.4347 29.9603 90.00 90.00 59.98
Closest atoms and distances in Å follow each position.
Atoms (fractional coordinates):
S 0.3332 0.3332 0.5528  3 Ti 2.43
Mn 0.0000 0.0000 0.1000  6 S 2.48
S 0.6667 0.6667 0.2477  3 Ti 2.41
S 0.3333 0.3333 0.1498  3 Mn 2.48, 3 Ti 2.52
Ti 0.0000 0.0000 0.2019  6 S 2.41-2.52
Ti 0.0000 0.0000 0.9981  6 S 2.41-2.52
S 0.6668 0.6668 0.6472  3 Ti 2.43
S 0.3333 0.3333 0.7528  3 Ti 2.43
Ti 0.0000 0.0000 0.7998  6 S 2.43-2.44
S 0.6667 0.6667 0.8471  3 Ti 2.44
S 0.3333 0.3333 0.9523  3 Ti 2.41
Ti 0.0000 0.0000 0.4002  6 S 2.43-2.44
Ti 0.0000 0.0000 0.6000  6 S 2.43
S 0.3333 0.3333 0.3529  3 Ti 2.44
S 0.6667 0.6667 0.4472  3 Ti 2.43
S 0.6667 0.6667 0.0502  3 Mn 2.48, 3 Ti 2.52



3.
MnTlV4S8 | PBE | relaxed

Values from the calculation:
corrected total energy (MP2020 scheme) = -6.87 eV per atom
calculated volume = 236.7 Å³ per cell
DFT formation energy = -1.0867 eV/atom

Lattice parameters (Å, degrees): 3.2895 8.4874 8.9144 104.33 100.63 90.00
Closest atoms and distances in Å follow each position.
Atoms (fractional coordinates):
S 0.5710 0.6739 0.1421  1 V 2.26, 2 Mn 2.35
V 0.2886 0.1405 0.5773  6 S 2.29-2.56
S 0.0817 0.3230 0.1633  1 Mn 2.32, 2 V 2.33
S 0.1591 0.9958 0.3183  3 V 2.29-2.33
Mn 0.0000 0.5000 0.0000  6 S 2.32-2.35
V 0.7114 0.8595 0.4227  6 S 2.29-2.56
Tl 0.5000 0.0000 0.0000  10 S 3.21-3.31, 2 Tl 3.29
S 0.9183 0.6770 0.8367  1 Mn 2.32, 2 V 2.33
S 0.7588 0.3378 0.5175  5 V 2.48-2.63
V 0.6486 0.4978 0.2972  5 S 2.26-2.48
S 0.2412 0.6622 0.4825  5 V 2.48-2.63
S 0.4290 0.3261 0.8579  1 V 2.26, 2 Mn 2.35
S 0.8409 0.0042 0.6817  3 V 2.29-2.33
V 0.3514 0.5022 0.7028  5 S 2.26-2.48